HgH4C12O3F8, relaxed, DFT PBE; ρ = 2.6 g/cm³; E = -6.20 eV per atom; ΔE to the lowest computed polymorph = 3 meV per atom; energy of formation from the pure elements = -0.88 eV/atom
1.0
7.3943 0.0000 0.0000
1.4396 8.1661 0.0000
1.9428 -0.2944 11.5621
Hg H C O F
2 8 24 6 16
Direct
0.1597 0.0555 0.1825
0.8403 0.9445 0.8175
0.1429 0.4640 0.2439
0.1856 0.5813 0.6492
0.3901 0.3379 0.3317
0.4577 0.3308 0.1993
0.5423 0.6692 0.8007
0.6099 0.6621 0.6683
0.8144 0.4187 0.3508
0.8571 0.5360 0.7561
0.0243 0.3933 0.8465
0.0634 0.8456 0.3883
0.0776 0.7486 0.9784
0.0895 0.7486 0.4830
0.1033 0.1906 0.0379
0.1178 0.6514 0.0711
0.2048 0.9173 0.3268
0.2077 0.3328 0.8627
0.2436 0.2333 0.9550
0.2614 0.7197 0.5216
0.3752 0.8892 0.3656
0.4046 0.7922 0.4601
0.5954 0.2078 0.5399
0.6248 0.1108 0.6344
0.7386 0.2803 0.4784
0.7564 0.7667 0.0449
0.7923 0.6672 0.1373
0.7952 0.0827 0.6732
0.8822 0.3486 0.9289
0.8967 0.8094 0.9621
0.9105 0.2514 0.5170
0.9224 0.2514 0.0216
0.9366 0.1544 0.6117
0.9757 0.6067 0.1535
0.0070 0.5098 0.2443
0.2951 0.6290 0.6144
0.3453 0.3422 0.2574
0.6547 0.6578 0.7426
0.7049 0.3710 0.3856
0.9930 0.4902 0.7557
0.0527 0.3190 0.4579
0.1087 0.1287 0.6428
0.2254 0.7810 0.8998
0.2981 0.5924 0.0807
0.3509 0.3765 0.7883
0.4259 0.1801 0.9644
0.4270 0.2331 0.5045
0.4803 0.0425 0.6889
0.5197 0.9575 0.3111
0.5730 0.7669 0.4955
0.5741 0.8199 0.0356
0.6491 0.6235 0.2117
0.7019 0.4076 0.9193
0.7746 0.2190 0.1002
0.8913 0.8713 0.3572
0.9473 0.6810 0.5421



HgP5H27C11O6F6, relaxed, DFT PBE; ρ = 1.6 g/cm³; E = -5.26 eV per atom; energy of formation from the pure elements = -0.71 eV/atom
1.0
8.9415 0.0000 0.0000
-3.1026 10.0634 0.0000
-2.9227 -2.8525 16.2878
Hg P H C O F
2 10 54 22 12 12
Direct
0.0526 0.1715 0.2700
0.9474 0.8285 0.7300
0.0249 0.9250 0.2266
0.1279 0.7673 0.6470
0.2225 0.3384 0.1995
0.3083 0.8160 0.9227
0.3868 0.2783 0.4555
0.6132 0.7217 0.5445
0.6918 0.1840 0.0773
0.7775 0.6616 0.8005
0.8721 0.2327 0.3530
0.9751 0.0750 0.7734
0.0064 0.5270 0.6150
0.0258 0.2935 0.4916
0.0492 0.7352 0.2892
0.0543 0.2477 0.0644
0.0538 0.4780 0.1849
0.0577 0.1760 0.6580
0.0951 0.8807 0.5303
0.1465 0.5791 0.7124
0.1558 0.8918 0.3580
0.1577 0.2848 0.8537
0.1626 0.7932 0.1631
0.1635 0.9341 0.1134
0.1730 0.1448 0.9021
0.1885 0.7530 0.5148
0.2190 0.5777 0.6186
0.2250 0.5524 0.2696
0.2267 0.1905 0.0798
0.2486 0.3587 0.0613
0.2487 0.5590 0.1660
0.2663 0.1795 0.8181
0.2980 0.9583 0.2097
0.3448 0.9783 0.6866
0.3691 0.8606 0.7528
0.4096 0.8401 0.6514
0.4748 0.4255 0.3004
0.4761 0.2970 0.2206
0.4934 0.4630 0.2001
0.5066 0.5370 0.7999
0.5239 0.7030 0.7794
0.5252 0.5745 0.6996
0.5904 0.1599 0.3486
0.6309 0.1394 0.2472
0.6552 0.0217 0.3134
0.7020 0.0417 0.7903
0.7337 0.8205 0.1819
0.7513 0.4410 0.8340
0.7514 0.6413 0.9387
0.7733 0.8095 0.9202
0.7750 0.4476 0.7304
0.7810 0.4223 0.3814
0.8115 0.2470 0.4852
0.8270 0.8552 0.0979
0.8365 0.0659 0.8866
0.8374 0.2068 0.8369
0.8423 0.7152 0.1463
0.8442 0.1082 0.6420
0.8535 0.4209 0.2876
0.9049 0.1193 0.4697
0.9423 0.8240 0.3420
0.9462 0.5220 0.8151
0.9457 0.7523 0.9356
0.9508 0.2648 0.7108
0.9742 0.7065 0.5084
0.9936 0.4730 0.3850
0.0449 0.8356 0.3126
0.0922 0.7786 0.5389
0.1251 0.5948 0.6486
0.1612 0.1809 0.8433
0.1771 0.9014 0.1732
0.1833 0.4986 0.2059
0.1837 0.2771 0.0902
0.3138 0.6755 0.9837
0.3338 0.8723 0.6889
0.3963 0.2103 0.5556
0.4382 0.3854 0.2343
0.5618 0.6146 0.7657
0.6037 0.7897 0.4444
0.6662 0.1277 0.3111
0.6862 0.3245 0.0163
0.8163 0.7229 0.9098
0.8167 0.5014 0.7941
0.8229 0.0986 0.8268
0.8388 0.8191 0.1567
0.8749 0.4052 0.3514
0.9078 0.2214 0.4611
0.9551 0.1644 0.6874
0.1786 0.7456 0.8450
0.2568 0.9151 0.9752
0.2858 0.3714 0.4600
0.2989 0.1548 0.3882
0.4398 0.6568 0.5485
0.4730 0.8655 0.9031
0.5270 0.1345 0.0969
0.5602 0.3432 0.4515
0.7011 0.8452 0.6118
0.7142 0.6286 0.5400
0.7432 0.0849 0.0248
0.8214 0.2544 0.1550
0.1669 0.6130 0.0007
0.2455 0.1412 0.5665
0.3554 0.5750 0.9423
0.4208 0.7188 0.0581
0.4652 0.3099 0.6236
0.4822 0.1221 0.5604
0.5178 0.8779 0.4396
0.5348 0.6901 0.3764
0.5792 0.2812 0.9419
0.6446 0.4250 0.0577
0.7545 0.8588 0.4335
0.8331 0.3870 0.9993



HoH18C3S3O18F9, relaxed, DFT PBE; ρ = 2.1 g/cm³; E = -5.42 eV per atom; energy of formation from the pure elements = -1.66 eV/atom
1.0
13.7075 0.0000 0.0000
-6.8537 11.8710 0.0000
0.0000 0.0000 7.5259
Ho H C S O F
2 36 6 6 36 18
Direct
0.3333 0.6667 0.2500
0.6667 0.3333 0.7500
0.0992 0.4492 0.1442
0.0992 0.4492 0.3558
0.1295 0.6374 0.0515
0.1295 0.6374 0.4485
0.2331 0.7202 0.5677
0.2331 0.7202 0.9323
0.2798 0.5129 0.5677
0.2798 0.5129 0.9323
0.3500 0.9008 0.1442
0.3500 0.9008 0.3558
0.3626 0.4921 0.0515
0.3626 0.4921 0.4485
0.4492 0.3500 0.6442
0.4492 0.3500 0.8558
0.4871 0.7669 0.5677
0.4871 0.7669 0.9323
0.4921 0.1295 0.5515
0.4921 0.1295 0.9485
0.5079 0.8705 0.0515
0.5079 0.8705 0.4485
0.5129 0.2331 0.0677
0.5129 0.2331 0.4323
0.5508 0.6500 0.1442
0.5508 0.6500 0.3558
0.6374 0.5079 0.5515
0.6374 0.5079 0.9485
0.6500 0.0992 0.6442
0.6500 0.0992 0.8558
0.7202 0.4871 0.0677
0.7202 0.4871 0.4323
0.7669 0.2798 0.0677
0.7669 0.2798 0.4323
0.8705 0.3626 0.5515
0.8705 0.3626 0.9485
0.9008 0.5508 0.6442
0.9008 0.5508 0.8558
0.0268 0.2316 0.7500
0.2048 0.9732 0.7500
0.2316 0.2048 0.2500
0.7684 0.7952 0.7500
0.7952 0.0268 0.2500
0.9732 0.7684 0.2500
0.0670 0.3836 0.7500
0.3166 0.9330 0.7500
0.3836 0.3166 0.2500
0.6164 0.6834 0.7500
0.6834 0.0670 0.2500
0.9330 0.6164 0.2500
0.0181 0.3974 0.5856
0.0181 0.3974 0.9144
0.1436 0.4878 0.2500
0.1907 0.4437 0.7500
0.2093 0.6628 0.0268
0.2093 0.6628 0.4732
0.2530 0.8093 0.7500
0.3372 0.5465 0.0268
0.3372 0.5465 0.4732
0.3442 0.8564 0.2500
0.3793 0.9819 0.5856
0.3793 0.9819 0.9144
0.3974 0.3793 0.0856
0.3974 0.3793 0.4144
0.4437 0.2530 0.2500
0.4535 0.7907 0.0268
0.4535 0.7907 0.4732
0.4878 0.3442 0.7500
0.5122 0.6558 0.2500
0.5465 0.2093 0.5268
0.5465 0.2093 0.9732
0.5563 0.7470 0.7500
0.6026 0.6207 0.5856
0.6026 0.6207 0.9144
0.6207 0.0181 0.0856
0.6207 0.0181 0.4144
0.6558 0.1436 0.7500
0.6628 0.4535 0.5268
0.6628 0.4535 0.9732
0.7470 0.1907 0.2500
0.7907 0.3372 0.5268
0.7907 0.3372 0.9732
0.8093 0.5563 0.2500
0.8564 0.5122 0.7500
0.9819 0.6026 0.0856
0.9819 0.6026 0.4144
0.0683 0.2076 0.6041
0.0683 0.2076 0.8959
0.0868 0.8334 0.2500
0.1393 0.9317 0.6041
0.1393 0.9317 0.8959
0.1666 0.2534 0.2500
0.2076 0.1393 0.1041
0.2076 0.1393 0.3959
0.2534 0.0868 0.7500
0.7466 0.9132 0.2500
0.7924 0.8607 0.6041
0.7924 0.8607 0.8959
0.8334 0.7466 0.7500
0.8607 0.0683 0.1041
0.8607 0.0683 0.3959
0.9132 0.1666 0.7500
0.9317 0.7924 0.1041
0.9317 0.7924 0.3959



KH4C6O3F5, relaxed, DFT PBE; ρ = 1.8 g/cm³; E = -5.94 eV per atom; energy of formation from the pure elements = -1.20 eV/atom
1.0
4.8184 -9.1975 0.0000
4.8184 9.1975 0.0000
-4.6849 0.0000 5.3056
K H C O F
2 8 12 6 10
Direct
0.0653 0.9347 0.7500
0.9347 0.0653 0.2500
0.2896 0.3631 0.8971
0.3116 0.3585 0.2505
0.3585 0.3116 0.7505
0.3631 0.2896 0.3971
0.6369 0.7104 0.6029
0.6415 0.6884 0.2495
0.6884 0.6415 0.7495
0.7104 0.6369 0.1029
0.1728 0.6985 0.3478
0.1985 0.8015 0.2500
0.2470 0.6217 0.3451
0.3015 0.8272 0.1522
0.3548 0.6452 0.2500
0.3783 0.7530 0.1549
0.6217 0.2470 0.8451
0.6452 0.3548 0.7500
0.6985 0.1728 0.8478
0.7530 0.3783 0.6549
0.8015 0.1985 0.7500
0.8272 0.3015 0.6522
0.2387 0.2553 0.7401
0.2553 0.2387 0.2401
0.4263 0.5737 0.2500
0.5737 0.4263 0.7500
0.7447 0.7613 0.7599
0.7613 0.7447 0.2599
0.0734 0.6730 0.4453
0.1247 0.8753 0.2500
0.2140 0.5181 0.4379
0.3270 0.9266 0.0547
0.4819 0.7860 0.0621
0.5181 0.2140 0.9379
0.6730 0.0734 0.9453
0.7860 0.4819 0.5621
0.8753 0.1247 0.7500
0.9266 0.3270 0.5547



K2H2C3S2O7F6, relaxed, DFT PBE; ρ = 2.3 g/cm³; E = -5.55 eV per atom; energy of formation from the pure elements = -1.75 eV/atom
1.0
6.0530 0.0000 0.0000
0.0000 11.1346 0.0000
-3.1389 0.0000 17.6696
K H C S O F
8 8 12 8 28 24
Direct
0.1303 0.0909 0.3487
0.1303 0.4091 0.8487
0.3009 0.1826 0.6190
0.3009 0.3174 0.1190
0.6991 0.6826 0.8810
0.6991 0.8174 0.3810
0.8697 0.5909 0.1513
0.8697 0.9091 0.6513
0.0305 0.7005 0.7769
0.0305 0.7995 0.2769
0.1444 0.6792 0.3077
0.1444 0.8208 0.8077
0.8556 0.1792 0.1923
0.8556 0.3208 0.6923
0.9695 0.2005 0.7231
0.9695 0.2995 0.2231
0.2077 0.6953 0.5219
0.2077 0.8047 0.0219
0.2538 0.6278 0.6000
0.2538 0.8722 0.1000
0.4978 0.1190 0.8583
0.4978 0.3810 0.3583
0.5022 0.6190 0.6417
0.5022 0.8810 0.1417
0.7462 0.1278 0.9000
0.7462 0.3722 0.4000
0.7923 0.1953 0.9781
0.7923 0.3047 0.4781
0.3102 0.6460 0.0136
0.3102 0.8540 0.5136
0.4417 0.0054 0.7792
0.4417 0.4946 0.2792
0.5583 0.5054 0.7208
0.5583 0.9946 0.2208
0.6898 0.1460 0.4864
0.6898 0.3540 0.9864
0.0017 0.2173 0.2092
0.0017 0.2827 0.7092
0.2004 0.6157 0.9367
0.2004 0.8843 0.4367
0.2105 0.0348 0.7440
0.2105 0.4652 0.2440
0.2320 0.5799 0.0742
0.2320 0.9201 0.5742
0.3924 0.5357 0.7681
0.3924 0.9643 0.2681
0.4457 0.1576 0.4778
0.4457 0.3424 0.9778
0.4653 0.6120 0.3157
0.4653 0.8880 0.8157
0.5347 0.1120 0.1843
0.5347 0.3880 0.6843
0.5543 0.6576 0.0222
0.5543 0.8424 0.5222
0.6076 0.0357 0.7319
0.6076 0.4643 0.2319
0.7680 0.0799 0.4258
0.7680 0.4201 0.9258
0.7895 0.5348 0.7560
0.7895 0.9652 0.2560
0.7996 0.1157 0.5633
0.7996 0.3843 0.0633
0.9983 0.7173 0.2908
0.9983 0.7827 0.7908
0.0237 0.1994 0.9980
0.0237 0.3006 0.4980
0.1311 0.6842 0.6473
0.1311 0.8158 0.1473
0.1704 0.5141 0.5868
0.1704 0.9859 0.0868
0.2877 0.6274 0.4693
0.2877 0.8726 0.9693
0.3609 0.0938 0.9090
0.3609 0.4062 0.4090
0.4377 0.2293 0.8262
0.4377 0.2707 0.3262
0.5623 0.7293 0.6738
0.5623 0.7707 0.1738
0.6391 0.5938 0.5910
0.6391 0.9062 0.0910
0.7123 0.1274 0.0307
0.7123 0.3726 0.5307
0.8296 0.0141 0.9132
0.8296 0.4859 0.4132
0.8689 0.1842 0.8527
0.8689 0.3158 0.3527
0.9763 0.6994 0.5020
0.9763 0.8006 0.0020